Record 1
Compound: Ba2DyPaO6
Source: Materials Project
Functional: GGA-PBE
Structure: relaxed

Results
Total magnetization in μB/cell: 0.00
Energy of formation from the pure elements in eV/f.u.: -37.460
Space-group type: No. 225

POSCAR file:
```
Ba2DyPaO6
1.0
-2.6693 3.0858 -4.7605
0.5030 -2.2124 -5.8449
-5.0181 -2.4150 -2.8805
Ba Dy Pa O
2 1 1 6
Direct
0.7500 0.7500 0.7500
0.2500 0.2500 0.2500
0.5000 0.5000 0.5000
0.0000 0.0000 0.0000
0.7541 0.7541 0.2459
0.2459 0.2459 0.7541
0.7541 0.2459 0.7541
0.2459 0.7541 0.2459
0.2459 0.7541 0.7541
0.7541 0.2459 0.2459
```

=====

Record 2
Compound: CeMg14Mn
Source: Materials Project
Functional: GGA-PBE
Structure: relaxed

Results
Total magnetization in μB/cell: 3.64
Energy of formation from the pure elements in eV/f.u.: 1.703
Space-group type: No. 187

POSCAR file:
```
CeMg14Mn
1.0
-2.0934 -5.4321 -2.9571
2.2012 -0.2672 6.1415
-9.5401 1.7732 3.4964
Ce Mg Mn
1 14 1
Direct
0.1667 0.3333 0.6250
0.1647 0.8323 0.1250
0.1804 0.8402 0.6250
0.6677 0.3353 0.1250
0.6598 0.3196 0.6250
0.6677 0.8323 0.1250
0.6598 0.8402 0.6250
0.3319 0.1681 0.3642
0.3319 0.1681 0.8858
0.3319 0.6637 0.3642
0.3319 0.6637 0.8858
0.8363 0.1681 0.3642
0.8363 0.1681 0.8858
0.8333 0.6667 0.3831
0.8333 0.6667 0.8669
0.1667 0.3333 0.1250
```

=====

Record 3
Compound: Ca3Bi2N4
Source: Materials Project
Functional: GGA-PBE
Structure: relaxed

Results
Total magnetization in μB/cell: 0.00
Energy of formation from the pure elements in eV/f.u.: -3.768
Space-group type: No. 15

POSCAR file:
```
Ca3Bi2N4
1.0
7.9989 -1.3011 -0.3704
-7.3389 9.3783 0.0000
-0.4151 -0.3248 5.2711
Ca Bi N
6 4 8
Direct
0.2188 0.0171 0.0632
0.7812 0.7983 0.4368
0.7812 0.9829 0.9368
0.2188 0.2017 0.5632
0.0000 0.6857 0.7500
0.0000 0.3143 0.2500
0.6224 0.2067 0.6598
0.3776 0.5843 0.8402
0.3776 0.7933 0.3402
0.6224 0.4157 0.1598
0.2161 0.9960 0.5755
0.7839 0.7800 0.9245
0.7839 0.0040 0.4245
0.2161 0.2200 0.0755
0.6565 0.2472 0.0869
0.3435 0.5907 0.4131
0.3435 0.7528 0.9131
0.6565 0.4093 0.5869
```

=====

Record 4
Compound: Mg2ZnO3
Source: Materials Project
Functional: GGA-PBE
Structure: relaxed

Results
Total magnetization in μB/cell: 0.00
Energy of formation from the pure elements in eV/f.u.: -15.511
Space-group type: No. 164

POSCAR file:
```
Mg2ZnO3
1.0
1.5165 -2.6267 0.0000
1.5165 2.6267 0.0000
0.0000 0.0000 7.4033
Mg Zn O
2 1 3
Direct
0.3333 0.6667 0.6658
0.6667 0.3333 0.3342
0.0000 0.0000 0.0000
0.3333 0.6667 0.1726
0.6667 0.3333 0.8274
0.0000 0.0000 0.5000
```

=====

Record 5
Compound: BaC8N6
Source: Materials Project
Functional: GGA-PBE
Structure: relaxed

Results
Total magnetization in μB/cell: 0.00
Energy of formation from the pure elements in eV/f.u.: -0.466
Space-group type: No. 157

POSCAR file:
```
BaC8N6
1.0
14.7806 0.0028 0.0005
-7.3879 12.7962 -0.0009
0.0001 -0.0002 4.4872
Ba C N
3 24 18
Direct
0.0000 0.0000 0.4197
0.3333 0.6666 0.6562
0.6667 0.3333 0.6562
0.0000 0.6286 0.2258
0.6286 0.0000 0.2258
0.3714 0.3714 0.2258
0.0000 0.7207 0.3109
0.7207 0.0000 0.3109
0.2793 0.2793 0.3109
0.0955 0.6312 0.1842
0.5358 0.9045 0.1842
0.3688 0.4642 0.1842
0.9045 0.5358 0.1842
0.6312 0.0955 0.1842
0.4642 0.3687 0.1842
0.7094 0.7094 0.7455
0.0000 0.2906 0.7455
0.2906 0.0000 0.7455
0.7979 0.7980 0.8511
0.0000 0.2020 0.8511
0.2021 0.0000 0.8511
0.6172 0.7117 0.6908
0.0945 0.3828 0.6907
0.2883 0.9055 0.6907
0.3828 0.0945 0.6908
0.7117 0.6172 0.6907
0.9055 0.2883 0.6907
0.0000 0.7970 0.3830
0.7969 0.0000 0.3830
0.2031 0.2031 0.3830
0.1765 0.6355 0.1509
0.4590 0.8235 0.1509
0.3645 0.5410 0.1509
0.8235 0.4590 0.1509
0.6355 0.1765 0.1509
0.5410 0.3645 0.1509
0.8732 0.8732 0.9353
0.0000 0.1267 0.9353
0.1268 0.0000 0.9353
0.5395 0.7121 0.6435
0.1725 0.4605 0.6436
0.2879 0.8274 0.6435
0.4605 0.1725 0.6435
0.7121 0.5395 0.6435
0.8275 0.2879 0.6436
```

=====

Record 6
Compound: H29Pd3S3N9O10
Source: Materials Project
Functional: GGA-PBE
Structure: relaxed

Results
Total magnetization in μB/cell: 0.00
Energy of formation from the pure elements in eV/f.u.: -41.885
Space-group type: No. 2

POSCAR file:
```
H29Pd3S3N9O10
1.0
-4.5653 -4.7742 -2.1073
1.2546 -4.7899 9.2420
-8.6631 9.8997 5.4175
H Pd S N O
58 6 6 18 20
Direct
0.6798 0.4316 0.5543
0.3202 0.5684 0.4457
0.7315 0.4943 0.4634
0.2685 0.5057 0.5366
0.0123 0.0049 0.1119
0.9877 0.9951 0.8881
0.9218 0.9949 0.2122
0.0782 0.0051 0.7878
0.1616 0.9950 0.2174
0.8384 0.0050 0.7826
0.9870 0.5199 0.0974
0.0130 0.4801 0.9026
0.8864 0.5373 0.1951
0.1136 0.4627 0.8049
0.1329 0.5393 0.2058
0.8671 0.4607 0.7942
0.1323 0.8525 0.3487
0.8677 0.1475 0.6513
0.9790 0.7263 0.3463
0.0210 0.2737 0.6537
0.2122 0.7068 0.3322
0.7878 0.2932 0.6678
0.4888 0.9904 0.1128
0.5112 0.0096 0.8872
0.5896 0.8928 0.0398
0.4104 0.1072 0.9602
0.3472 0.8773 0.0393
0.6528 0.1227 0.9607
0.4675 0.5366 0.1027
0.5325 0.4634 0.8973
0.5779 0.6300 0.0361
0.4221 0.3700 0.9639
0.3375 0.6436 0.0360
0.6625 0.3564 0.9640
0.0954 0.7337 0.8220
0.9046 0.2663 0.1780
0.1719 0.6494 0.7346
0.8281 0.3506 0.2654
0.2089 0.8072 0.7466
0.7911 0.1928 0.2534
0.6168 0.7865 0.4895
0.3832 0.2135 0.5105
0.4807 0.7236 0.5584
0.5193 0.2764 0.4416
0.5496 0.8822 0.5748
0.4504 0.1178 0.4252
0.7411 0.7071 0.8221
0.2589 0.2929 0.1779
0.5862 0.6364 0.7306
0.4138 0.3636 0.2694
0.5763 0.7937 0.7563
0.4237 0.2063 0.2437
0.9177 0.8170 0.4884
0.0823 0.1830 0.5116
0.1016 0.7327 0.5412
0.8984 0.2673 0.4588
0.0880 0.8897 0.5753
0.9120 0.1103 0.4247
0.0110 0.7637 0.1656
0.9890 0.2363 0.8344
0.5419 0.7709 0.1927
0.4581 0.2291 0.8073
0.8462 0.7591 0.6551
0.1538 0.2409 0.3449
0.9280 0.7578 0.0033
0.0720 0.2422 0.9967
0.5870 0.6131 0.3003
0.4130 0.3869 0.6997
0.6055 0.9428 0.3051
0.3945 0.0572 0.6949
0.0283 0.9633 0.1766
0.9717 0.0367 0.8234
0.0035 0.5652 0.1642
0.9965 0.4348 0.8358
0.0923 0.7632 0.3175
0.9077 0.2368 0.6825
0.4834 0.8995 0.0815
0.5166 0.1005 0.9185
0.4713 0.6260 0.0777
0.5287 0.3740 0.9223
0.1082 0.7334 0.7507
0.8918 0.2666 0.2493
0.5924 0.7913 0.5584
0.4076 0.2087 0.4416
0.6698 0.7194 0.7530
0.3302 0.2806 0.2470
0.0086 0.8043 0.5530
0.9914 0.1957 0.4470
0.8176 0.8738 0.9726
0.1824 0.1262 0.0274
0.8021 0.6388 0.9658
0.1979 0.3612 0.0342
0.1132 0.7543 0.9621
0.8868 0.2457 0.0379
0.3881 0.5716 0.3206
0.6119 0.4284 0.6794
0.6625 0.4995 0.2501
0.3375 0.5005 0.7499
0.7260 0.6475 0.3933
0.2740 0.3525 0.6067
0.5993 0.0623 0.2482
0.4007 0.9377 0.7518
0.4483 0.9478 0.3636
0.5517 0.0522 0.6364
0.8048 0.9429 0.3689
0.1952 0.0571 0.6311
0.7227 0.4118 0.4933
0.2773 0.5882 0.5067
```

=====

Record 7
Compound: SbRh
Source: Materials Project
Functional: GGA-PBE
Structure: relaxed

Results
Energy of formation from the pure elements in eV/f.u.: -0.992
Space-group type: No. 62

POSCAR file:
```
SbRh
1.0
-3.5869 1.2904 0.8990
-2.3711 -3.6663 -4.1979
-0.5744 -4.6543 4.3894
Sb Rh
4 4
Direct
0.7500 0.8034 0.5915
0.2500 0.1966 0.4085
0.7500 0.3034 0.9085
0.2500 0.6966 0.0915
0.7500 0.9935 0.1943
0.2500 0.0065 0.8057
0.7500 0.4935 0.3057
0.2500 0.5065 0.6943
```

=====

Record 8
Compound: CaB6H8O14
Source: Materials Project
Functional: GGA-PBE
Structure: relaxed

Results
Total magnetization in μB/cell: 0.00
Energy of formation from the pure elements in eV/f.u.: -65.833
Space-group type: No. 14

POSCAR file:
```
CaB6H8O14
1.0
8.0694 0.0000 0.0000
0.0000 9.8787 0.0000
0.0000 5.4415 13.8005
Ca B H O
4 24 32 56
Direct
0.9425 0.2823 0.1887
0.0575 0.7177 0.8113
0.4425 0.7177 0.3113
0.5575 0.2823 0.6887
0.5524 0.2706 0.2035
0.4476 0.7294 0.7965
0.0524 0.7294 0.2965
0.9476 0.2706 0.7035
0.6121 0.4831 0.2498
0.3879 0.5169 0.7502
0.1121 0.5169 0.2502
0.8879 0.4831 0.7498
0.8507 0.6559 0.1821
0.1493 0.3441 0.8179
0.3507 0.3441 0.3179
0.6493 0.6559 0.6821
0.8485 0.9205 0.1834
0.1515 0.0795 0.8166
0.3485 0.0795 0.3166
0.6515 0.9205 0.6834
0.7667 0.8723 0.0379
0.2333 0.1277 0.9621
0.2667 0.1277 0.4621
0.7333 0.8723 0.5379
0.1159 0.9881 0.2442
0.8841 0.0119 0.7558
0.6159 0.0119 0.2558
0.3841 0.9881 0.7442
0.6503 0.6335 0.4951
0.3497 0.3665 0.5049
0.1503 0.3665 0.0049
0.8497 0.6335 0.9951
0.8225 0.2022 0.0189
0.1775 0.7978 0.9811
0.3225 0.7978 0.4811
0.6775 0.2022 0.5189
0.8426 0.8546 0.4194
0.1574 0.1454 0.5806
0.3426 0.1454 0.0806
0.6574 0.8546 0.9194
0.4398 0.7517 0.0917
0.5602 0.2483 0.9083
0.9398 0.2483 0.4083
0.0602 0.7517 0.5917
0.3681 0.8947 0.1018
0.6319 0.1053 0.8982
0.8681 0.1053 0.3982
0.1319 0.8947 0.6018
0.6538 0.3754 0.4713
0.3462 0.6246 0.5287
0.1538 0.6246 0.0287
0.8462 0.3754 0.9713
0.7618 0.6285 0.4116
0.2382 0.3715 0.5884
0.2618 0.3715 0.0884
0.7382 0.6285 0.9116
0.5445 0.3268 0.0607
0.4555 0.6732 0.9393
0.0445 0.6732 0.4393
0.9555 0.3268 0.5607
0.6470 0.6051 0.4377
0.3530 0.3949 0.5623
0.1470 0.3949 0.0623
0.8530 0.6051 0.9377
0.7013 0.8993 0.2456
0.2987 0.1007 0.7544
0.2013 0.1007 0.2544
0.7987 0.8993 0.7456
0.8079 0.9271 0.4471
0.1921 0.0729 0.5529
0.3079 0.0729 0.0529
0.6921 0.9271 0.9471
0.6513 0.3969 0.1987
0.3487 0.6031 0.8013
0.1513 0.6031 0.3013
0.8487 0.3969 0.6987
0.7056 0.6010 0.2445
0.2944 0.3990 0.7555
0.2056 0.3990 0.2555
0.7944 0.6010 0.7445
0.9727 0.5408 0.1915
0.0273 0.4592 0.8085
0.4727 0.4592 0.3085
0.5273 0.5408 0.6915
0.4016 0.7917 0.1385
0.5984 0.2083 0.8615
0.9016 0.2083 0.3615
0.0984 0.7917 0.6385
0.9605 0.7024 0.3880
0.0395 0.2976 0.6120
0.4605 0.2976 0.1120
0.5395 0.7024 0.8880
0.1716 0.8476 0.2799
0.8284 0.1524 0.7201
0.6716 0.1524 0.2201
0.3284 0.8476 0.7799
0.4649 0.9755 0.3020
0.5351 0.0245 0.6980
0.9649 0.0245 0.1980
0.0351 0.9755 0.8020
0.8012 0.7257 0.0799
0.1988 0.2743 0.9201
0.3012 0.2743 0.4201
0.6988 0.7257 0.5799
0.9318 0.7708 0.2134
0.0682 0.2292 0.7866
0.4318 0.2292 0.2866
0.5682 0.7708 0.7134
0.8025 0.9696 0.0811
0.1975 0.0304 0.9189
0.3025 0.0304 0.4189
0.6975 0.9696 0.5811
0.1993 0.7046 0.9732
0.8007 0.2954 0.0268
0.6993 0.2954 0.5268
0.3007 0.7046 0.4732
```

=====

Record 9
Compound: MnGa2Se4
Source: Materials Project
Functional: GGA-PBE
Structure: relaxed

Results
Energy of formation from the pure elements in eV/f.u.: -5.811
Largest piezoelectric modulus in C/m2: 0.1
Space-group type: No. 82

POSCAR file:
```
MnGa2Se4
1.0
0.7491 -4.8628 4.7141
-5.9287 -0.5263 3.3172
1.3457 -0.0794 -6.6793
Mn Ga Se
1 2 4
Direct
0.0000 0.0000 0.0000
0.5000 0.5000 0.0000
0.2500 0.7500 0.5000
0.4004 0.8869 0.0194
0.1131 0.1325 0.5135
0.6190 0.5996 0.4865
0.8675 0.3810 0.9806
```